Computed, not measured: an optimized crystal structure of Pr4C2Br5 at the GGA-PBE level of DFT.

Values from the calculation:
The formation enthalpy at 0 K comes out at -98.5 kJ per mole of atoms. As for the total energy after the MP2020 corrections: -5.181 eV per atom. The space group is Cm.

Unit cell a=13.0134 b=13.0134 c=7.8243 alpha=106.14 beta=106.14 gamma=15.31
Atoms (fractional coordinates):
Pr (0.0000, 0.0000, 0.0000)
Pr (0.0807, 0.0807, 0.4624)
Pr (0.3550, 0.3550, 0.1119)
Pr (0.7268, 0.7268, 0.3581)
C (0.2825, 0.2825, 0.2539)
C (0.7994, 0.7994, 0.2164)
Br (0.1282, 0.1282, 0.1576)
Br (0.2020, 0.2020, 0.6551)
Br (0.5444, 0.5444, 0.7396)
Br (0.8776, 0.8776, 0.8115)
Br (0.9536, 0.9536, 0.3116)

***

Computed, not measured: an optimized crystal structure of Li2TeS3 at the GGA-PBE level of DFT.

Values from the calculation:
The formation enthalpy at 0 K comes out at -89.7 kJ per mole of atoms. As for the total energy after the MP2020 corrections: -4.158 eV per atom. The space group is P2_1/c.

Unit cell a=5.4191 b=11.5794 c=7.8960 alpha=90.00 beta=91.49 gamma=90.00
Atoms (fractional coordinates):
Li (0.2374, 0.0855, 0.3684)
Li (0.2374, 0.4145, 0.8684)
Li (0.2604, 0.7284, 0.3569)
Li (0.2604, 0.7716, 0.8569)
Li (0.7396, 0.2284, 0.1431)
Li (0.7396, 0.2716, 0.6431)
Li (0.7626, 0.5855, 0.1316)
Li (0.7626, 0.9145, 0.6316)
Te (0.2792, 0.0871, 0.8184)
Te (0.2792, 0.4129, 0.3184)
Te (0.7208, 0.5871, 0.6816)
Te (0.7208, 0.9129, 0.1816)
S (0.2291, 0.2444, 0.6209)
S (0.2291, 0.2556, 0.1209)
S (0.2546, 0.5734, 0.1307)
S (0.2546, 0.9266, 0.6307)
S (0.2796, 0.5979, 0.6359)
S (0.2796, 0.9021, 0.1359)
S (0.7204, 0.0979, 0.8641)
S (0.7204, 0.4021, 0.3641)
S (0.7454, 0.0734, 0.3693)
S (0.7454, 0.4266, 0.8693)
S (0.7709, 0.7444, 0.8791)
S (0.7709, 0.7556, 0.3791)

***

Computed, not measured: an optimized crystal structure of Ba3Ho2P4S16 at the GGA-PBE level of DFT.

Values from the calculation:
The formation enthalpy at 0 K comes out at -143.8 kJ per mole of atoms. As for the total energy after the MP2020 corrections: -5.601 eV per atom. The space group is Pbcn.

Unit cell a=19.4359 b=10.4122 c=12.7429 alpha=90.00 beta=90.00 gamma=90.00
Atoms (fractional coordinates):
Ba (0.0000, 0.1167, 0.2500)
Ba (0.0000, 0.8833, 0.7500)
Ba (0.2271, 0.2102, 0.6081)
Ba (0.2271, 0.7898, 0.1081)
Ba (0.2729, 0.2898, 0.1081)
Ba (0.2729, 0.7102, 0.6081)
Ba (0.5000, 0.3833, 0.7500)
Ba (0.5000, 0.6167, 0.2500)
Ba (0.7271, 0.2898, 0.3919)
Ba (0.7271, 0.7102, 0.8919)
Ba (0.7729, 0.2102, 0.8919)
Ba (0.7729, 0.7898, 0.3919)
Ho (0.0733, 0.3716, 0.8874)
Ho (0.0733, 0.6284, 0.3874)
Ho (0.4267, 0.1284, 0.3874)
Ho (0.4267, 0.8716, 0.8874)
Ho (0.5733, 0.1284, 0.1126)
Ho (0.5733, 0.8716, 0.6126)
Ho (0.9267, 0.3716, 0.6126)
Ho (0.9267, 0.6284, 0.1126)
P (0.1019, 0.4957, 0.1399)
P (0.1019, 0.5043, 0.6399)
P (0.1310, 0.0638, 0.9514)
P (0.1310, 0.9362, 0.4514)
P (0.3690, 0.4362, 0.4514)
P (0.3690, 0.5638, 0.9514)
P (0.3981, 0.0043, 0.6399)
P (0.3981, 0.9957, 0.1399)
P (0.6019, 0.0043, 0.8601)
P (0.6019, 0.9957, 0.3601)
P (0.6310, 0.4362, 0.0486)
P (0.6310, 0.5638, 0.5486)
P (0.8690, 0.0638, 0.5486)
P (0.8690, 0.9362, 0.0486)
P (0.8981, 0.4957, 0.3601)
P (0.8981, 0.5043, 0.8601)
S (0.0165, 0.3885, 0.0983)
S (0.0165, 0.6115, 0.5983)
S (0.0325, 0.1211, 0.9147)
S (0.0325, 0.8789, 0.4147)
S (0.0678, 0.3206, 0.6699)
S (0.0678, 0.6794, 0.1699)
S (0.1472, 0.0700, 0.1122)
S (0.1472, 0.9300, 0.6122)
S (0.1496, 0.1139, 0.3940)
S (0.1496, 0.8861, 0.8940)
S (0.1508, 0.4358, 0.2702)
S (0.1508, 0.5642, 0.7702)
S (0.1665, 0.4958, 0.5141)
S (0.1665, 0.5042, 0.0141)
S (0.1909, 0.2099, 0.8862)
S (0.1909, 0.7901, 0.3862)
S (0.3091, 0.2901, 0.3862)
S (0.3091, 0.7099, 0.8862)
S (0.3335, 0.0042, 0.0141)
S (0.3335, 0.9958, 0.5141)
S (0.3492, 0.0642, 0.7702)
S (0.3492, 0.9358, 0.2702)
S (0.3504, 0.3861, 0.8940)
S (0.3504, 0.6139, 0.3940)
S (0.3528, 0.4300, 0.6122)
S (0.3528, 0.5700, 0.1122)
S (0.4322, 0.1794, 0.1699)
S (0.4322, 0.8206, 0.6699)
S (0.4675, 0.3789, 0.4147)
S (0.4675, 0.6211, 0.9147)
S (0.4835, 0.1115, 0.5983)
S (0.4835, 0.8885, 0.0983)
S (0.5165, 0.1115, 0.9017)
S (0.5165, 0.8885, 0.4017)
S (0.5325, 0.3789, 0.0853)
S (0.5325, 0.6211, 0.5853)
S (0.5678, 0.1794, 0.3301)
S (0.5678, 0.8206, 0.8301)
S (0.6472, 0.4300, 0.8878)
S (0.6472, 0.5700, 0.3878)
S (0.6496, 0.3861, 0.6060)
S (0.6496, 0.6139, 0.1060)
S (0.6508, 0.0642, 0.7298)
S (0.6508, 0.9358, 0.2298)
S (0.6665, 0.0042, 0.4859)
S (0.6665, 0.9958, 0.9859)
S (0.6909, 0.2901, 0.1138)
S (0.6909, 0.7099, 0.6138)
S (0.8091, 0.2099, 0.6138)
S (0.8091, 0.7901, 0.1138)
S (0.8335, 0.4958, 0.9859)
S (0.8335, 0.5042, 0.4859)
S (0.8492, 0.4358, 0.2298)
S (0.8492, 0.5642, 0.7298)
S (0.8504, 0.1139, 0.1060)
S (0.8504, 0.8861, 0.6060)
S (0.8528, 0.0700, 0.3878)
S (0.8528, 0.9300, 0.8878)
S (0.9322, 0.3206, 0.8301)
S (0.9322, 0.6794, 0.3301)
S (0.9675, 0.1211, 0.5853)
S (0.9675, 0.8789, 0.0853)
S (0.9835, 0.3885, 0.4017)
S (0.9835, 0.6115, 0.9017)

***

Computed, not measured: an optimized crystal structure of B2H3 at the GGA-PBE level of DFT.

Values from the calculation:
The formation enthalpy at 0 K comes out at -14.6 kJ per mole of atoms. As for the total energy after the MP2020 corrections: -4.859 eV per atom. The space group is Pbca.

Unit cell a=10.6816 b=13.9155 c=10.7008 alpha=90.00 beta=90.00 gamma=90.00
Atoms (fractional coordinates):
B (0.0935, 0.1646, 0.0713)
B (0.0935, 0.3354, 0.5713)
B (0.1541, 0.6225, 0.1293)
B (0.1541, 0.8775, 0.6293)
B (0.1557, 0.0935, 0.9469)
B (0.1557, 0.4065, 0.4469)
B (0.1722, 0.2246, 0.6163)
B (0.1722, 0.2754, 0.1163)
B (0.1805, 0.7492, 0.6504)
B (0.1805, 0.7508, 0.1504)
B (0.1895, 0.5681, 0.9822)
B (0.1895, 0.9319, 0.4822)
B (0.1979, 0.0640, 0.0976)
B (0.1979, 0.4360, 0.5976)
B (0.2059, 0.1712, 0.1941)
B (0.2059, 0.3288, 0.6941)
B (0.2941, 0.6712, 0.1941)
B (0.2941, 0.8288, 0.6941)
B (0.3021, 0.5640, 0.0976)
B (0.3021, 0.9360, 0.5976)
B (0.3105, 0.0681, 0.9822)
B (0.3105, 0.4319, 0.4822)
B (0.3195, 0.2492, 0.6504)
B (0.3195, 0.2508, 0.1504)
B (0.3278, 0.7246, 0.6163)
B (0.3278, 0.7754, 0.1163)
B (0.3443, 0.5935, 0.9469)
B (0.3443, 0.9065, 0.4469)
B (0.3459, 0.1225, 0.1293)
B (0.3459, 0.3775, 0.6293)
B (0.4065, 0.6646, 0.0713)
B (0.4065, 0.8354, 0.5713)
B (0.5935, 0.1646, 0.4287)
B (0.5935, 0.3354, 0.9287)
B (0.6541, 0.6225, 0.3707)
B (0.6541, 0.8775, 0.8707)
B (0.6557, 0.0935, 0.5531)
B (0.6557, 0.4065, 0.0531)
B (0.6722, 0.2246, 0.8837)
B (0.6722, 0.2754, 0.3837)
B (0.6805, 0.7492, 0.8496)
B (0.6805, 0.7508, 0.3496)
B (0.6895, 0.5681, 0.5178)
B (0.6895, 0.9319, 0.0178)
B (0.6979, 0.0640, 0.4024)
B (0.6979, 0.4360, 0.9024)
B (0.7059, 0.1712, 0.3059)
B (0.7059, 0.3288, 0.8059)
B (0.7941, 0.6712, 0.3059)
B (0.7941, 0.8288, 0.8059)
B (0.8021, 0.5640, 0.4024)
B (0.8021, 0.9360, 0.9024)
B (0.8105, 0.0681, 0.5178)
B (0.8105, 0.4319, 0.0178)
B (0.8195, 0.2492, 0.8496)
B (0.8195, 0.2508, 0.3496)
B (0.8278, 0.7246, 0.8837)
B (0.8278, 0.7754, 0.3837)
B (0.8443, 0.5935, 0.5531)
B (0.8443, 0.9065, 0.0531)
B (0.8459, 0.1225, 0.3707)
B (0.8459, 0.3775, 0.8707)
B (0.9065, 0.6646, 0.4287)
B (0.9065, 0.8354, 0.9287)
H (0.0173, 0.6595, 0.4166)
H (0.0173, 0.8405, 0.9166)
H (0.0708, 0.5853, 0.1855)
H (0.0708, 0.9147, 0.6855)
H (0.0934, 0.0540, 0.8705)
H (0.0934, 0.4460, 0.3705)
H (0.0989, 0.7002, 0.6915)
H (0.0989, 0.7998, 0.1915)
H (0.1137, 0.1521, 0.6245)
H (0.1137, 0.3479, 0.1245)
H (0.1171, 0.6479, 0.0176)
H (0.1171, 0.8521, 0.5176)
H (0.1228, 0.1911, 0.9579)
H (0.1228, 0.3089, 0.4579)
H (0.1265, 0.5081, 0.9342)
H (0.1265, 0.9919, 0.4342)
H (0.1660, 0.5092, 0.6457)
H (0.1660, 0.9908, 0.1457)
H (0.1776, 0.1576, 0.3010)
H (0.1776, 0.3424, 0.8010)
H (0.2258, 0.7086, 0.5461)
H (0.2258, 0.7914, 0.0461)
H (0.2383, 0.6204, 0.8883)
H (0.2383, 0.8796, 0.3883)
H (0.2617, 0.1204, 0.8883)
H (0.2617, 0.3796, 0.3883)
H (0.2742, 0.2086, 0.5461)
H (0.2742, 0.2914, 0.0461)
H (0.3224, 0.6576, 0.3010)
H (0.3224, 0.8424, 0.8010)
H (0.3340, 0.0092, 0.6457)
H (0.3340, 0.4908, 0.1457)
H (0.3735, 0.0081, 0.9342)
H (0.3735, 0.4919, 0.4342)
H (0.3772, 0.6911, 0.9579)
H (0.3772, 0.8089, 0.4579)
H (0.3829, 0.1479, 0.0176)
H (0.3829, 0.3521, 0.5176)
H (0.3863, 0.6521, 0.6245)
H (0.3863, 0.8479, 0.1245)
H (0.4011, 0.2002, 0.6915)
H (0.4011, 0.2998, 0.1915)
H (0.4066, 0.5540, 0.8705)
H (0.4066, 0.9460, 0.3705)
H (0.4292, 0.0853, 0.1855)
H (0.4292, 0.4147, 0.6855)
H (0.4827, 0.1595, 0.4166)
H (0.4827, 0.3405, 0.9166)
H (0.5173, 0.6595, 0.0834)
H (0.5173, 0.8405, 0.5834)
H (0.5708, 0.5853, 0.3145)
H (0.5708, 0.9147, 0.8145)
H (0.5934, 0.0540, 0.6295)
H (0.5934, 0.4460, 0.1295)
H (0.5989, 0.7002, 0.8085)
H (0.5989, 0.7998, 0.3085)
H (0.6137, 0.1521, 0.8755)
H (0.6137, 0.3479, 0.3755)
H (0.6171, 0.6479, 0.4824)
H (0.6171, 0.8521, 0.9824)
H (0.6228, 0.1911, 0.5421)
H (0.6228, 0.3089, 0.0421)
H (0.6265, 0.5081, 0.5658)
H (0.6265, 0.9919, 0.0659)
H (0.6660, 0.5092, 0.8543)
H (0.6660, 0.9908, 0.3543)
H (0.6776, 0.1576, 0.1990)
H (0.6776, 0.3424, 0.6990)
H (0.7258, 0.7086, 0.9539)
H (0.7258, 0.7914, 0.4539)
H (0.7383, 0.6204, 0.6117)
H (0.7383, 0.8796, 0.1117)
H (0.7617, 0.1204, 0.6117)
H (0.7617, 0.3796, 0.1117)
H (0.7742, 0.2086, 0.9539)
H (0.7742, 0.2914, 0.4539)
H (0.8224, 0.6576, 0.1990)
H (0.8224, 0.8424, 0.6990)
H (0.8340, 0.0092, 0.8543)
H (0.8340, 0.4908, 0.3543)
H (0.8735, 0.0081, 0.5658)
H (0.8735, 0.4919, 0.0659)
H (0.8772, 0.6911, 0.5421)
H (0.8772, 0.8089, 0.0421)
H (0.8829, 0.1479, 0.4824)
H (0.8829, 0.3521, 0.9824)
H (0.8863, 0.6521, 0.8755)
H (0.8863, 0.8479, 0.3755)
H (0.9011, 0.2002, 0.8085)
H (0.9011, 0.2998, 0.3085)
H (0.9066, 0.5540, 0.6295)
H (0.9066, 0.9460, 0.1295)
H (0.9292, 0.0853, 0.3145)
H (0.9292, 0.4147, 0.8145)
H (0.9827, 0.1595, 0.0834)
H (0.9827, 0.3405, 0.5834)

***

- What is the total energy after the MP2020 corrections in the fourth record?
  -4.859 eV per atom

***

- Which of these has the highest total energy after the MP2020 corrections?
  Li2TeS3

***

- Look up the total energy after the MP2020 corrections of the third one.
  -5.601 eV per atom